No. 1
NaMnFeP2O8 (PBE+U, optimized geometry); DFT formation energy = -2.4780 eV per atom; magnetization = 10.0 μB per formula unit; energy = -7.09 eV/atom; ΔE to the lowest computed polymorph = 0.0 kJ per mole of atoms
1.0
9.358 0.000 0.000
0.742 9.334 0.000
4.459 4.056 10.544
Na Mn Fe P O
6 6 6 12 48
Cartesian
0.000 0.000 0.000
2.850 2.843 3.890
5.853 5.397 7.903
7.279 6.695 5.272
8.705 7.993 2.641
11.708 10.547 6.654
2.082 6.465 1.309
5.699 11.200 6.890
6.021 9.549 3.949
8.538 3.841 6.595
8.859 2.191 3.655
12.477 6.925 9.235
3.655 6.089 4.248
6.850 8.939 8.912
3.635 0.717 1.009
10.923 12.673 9.535
7.708 4.451 1.632
10.903 7.301 6.296
2.520 9.040 3.436
1.263 3.056 0.738
4.711 8.032 6.573
7.776 12.070 9.275
5.951 3.672 4.436
5.577 7.000 1.877
8.981 6.390 8.667
8.607 9.718 6.108
6.782 1.320 1.269
9.847 5.359 3.971
13.295 10.334 9.806
12.038 4.351 7.108
1.679 8.466 2.287
1.917 5.444 3.305
2.650 7.910 4.546
3.253 3.086 6.439
5.076 6.351 10.110
4.995 10.089 8.688
1.797 4.457 0.264
2.454 2.259 1.358
4.871 9.402 5.873
3.965 9.420 2.928
5.785 7.751 7.653
4.923 6.884 5.538
7.587 13.133 10.401
6.742 12.433 8.209
4.117 6.631 2.340
4.681 4.460 3.984
7.531 10.660 9.904
5.466 2.237 4.792
7.580 9.836 7.277
8.282 7.649 9.201
6.643 4.366 5.623
5.359 1.236 1.919
5.458 8.071 0.728
6.360 7.612 3.055
8.198 5.778 7.489
9.101 5.319 9.816
9.200 12.154 8.625
7.916 9.025 4.921
6.277 5.742 1.343
6.978 3.554 3.267
9.093 11.153 5.752
7.028 2.730 0.640
9.877 8.930 6.560
10.441 6.759 8.204
7.816 0.957 2.335
6.971 0.257 0.143
9.635 6.507 5.007
8.773 5.640 2.891
10.594 3.970 7.616
9.687 3.988 4.671
12.104 11.132 9.186
12.761 8.934 10.280
9.563 3.302 1.856
9.482 7.040 0.434
11.305 10.304 4.105
11.908 5.480 5.998
12.641 7.946 7.239
12.879 4.924 8.257


No. 2
LiAlVO4 (PBE+U, optimized geometry); DFT formation energy = -2.8015 eV per atom; magnetization = 0.0 μB per formula unit; energy = -7.10 eV/atom; ΔE to the lowest computed polymorph = 0.7 kJ per mole of atoms
1.0
4.108 -4.113 0.000
4.108 4.113 0.000
0.000 0.000 8.157
Li Al V O
4 4 4 16
Cartesian
0.930 0.930 3.059
7.286 -0.930 7.138
0.930 -0.930 5.098
7.286 0.930 1.019
2.122 0.000 0.000
4.108 1.987 2.039
4.108 -1.987 6.118
6.094 0.000 4.078
2.981 1.131 5.099
2.981 -1.131 3.058
5.234 1.131 7.137
5.234 -1.131 1.020
1.114 1.083 5.190
3.026 2.997 5.006
1.114 -1.083 2.967
3.120 0.929 3.140
3.178 0.987 7.057
5.189 2.997 7.230
3.120 -0.929 5.017
5.037 0.987 5.178
3.178 -0.987 1.100
5.095 0.929 0.939
3.026 -2.997 3.151
5.037 -0.987 2.979
5.095 -0.929 7.218
7.102 1.083 7.045
5.189 -2.997 0.927
7.102 -1.083 1.112


No. 3
Sr2Fe2O5 (PBE+U, optimized geometry); DFT formation energy = -2.3719 eV per atom; energy = -6.50 eV/atom; ΔE to the lowest computed polymorph = 0.0 kJ per mole of atoms
1.0
-7.865 2.889 2.801
7.865 -2.889 2.801
7.865 2.889 -2.801
Sr Fe O
4 4 10
Cartesian
1.706 0.114 0.000
6.160 0.114 0.000
1.706 2.776 2.801
6.160 2.776 2.801
3.933 -0.416 3.021
0.000 0.000 2.772
7.865 0.000 2.772
3.933 3.305 0.220
11.798 0.745 -0.654
2.206 2.606 -0.112
5.660 2.606 -0.112
-0.127 1.460 1.380
7.992 1.460 1.380
2.206 0.283 2.689
5.660 0.283 2.689
-3.933 2.144 2.146
0.127 4.319 1.380
-0.127 1.429 4.180